(1)
This record from the Materials Project describes a relaxed structure of Ca3P2O8. The functional is PBE.

a = 6.981 Å, b = 6.981 Å, c = 6.981 Å
α = 44.74°, β = 44.74°, γ = 44.74°
Positions (direct):
Ca 0.000 0.000 0.000
Ca 0.204 0.204 0.204
Ca 0.796 0.796 0.796
P 0.405 0.405 0.405
P 0.595 0.595 0.595
O 0.248 0.727 0.727
O 0.273 0.273 0.752
O 0.273 0.752 0.273
O 0.323 0.323 0.323
O 0.677 0.677 0.677
O 0.727 0.248 0.727
O 0.727 0.727 0.248
O 0.752 0.273 0.273

Values from the calculation:
SG ... R-3m, No. 166
Distance to the lowest polymorph of the same formula ... 0.54 eV/f.u.
Energy with MP2020 corrections ... -7.6252 eV per atom
Calculated formation energy ... -3.285 eV per atom

---

(2)
This record from the Materials Project describes a relaxed structure of Ca3P2O8. The functional is PBE.

a = 14.407 Å, b = 14.407 Å, c = 14.407 Å
α = 43.44°, β = 43.44°, γ = 43.44°
Positions (direct):
Ca 0.000 0.000 0.000
Ca 0.045 0.668 0.096
Ca 0.068 0.444 0.466
Ca 0.096 0.045 0.668
Ca 0.168 0.552 0.588
Ca 0.371 0.912 0.938
Ca 0.399 0.883 0.417
Ca 0.417 0.399 0.883
Ca 0.444 0.466 0.068
Ca 0.466 0.068 0.444
Ca 0.500 0.500 0.500
Ca 0.552 0.588 0.168
Ca 0.559 0.982 0.952
Ca 0.588 0.168 0.552
Ca 0.668 0.096 0.045
Ca 0.688 0.688 0.688
Ca 0.883 0.417 0.399
Ca 0.912 0.938 0.371
Ca 0.938 0.371 0.912
Ca 0.952 0.559 0.982
Ca 0.982 0.952 0.559
P 0.157 0.741 0.188
P 0.188 0.157 0.741
P 0.236 0.666 0.684
P 0.268 0.268 0.268
P 0.280 0.822 0.307
P 0.307 0.280 0.822
P 0.336 0.761 0.806
P 0.666 0.684 0.236
P 0.684 0.236 0.666
P 0.741 0.188 0.157
P 0.761 0.806 0.336
P 0.765 0.765 0.765
P 0.806 0.336 0.761
P 0.822 0.307 0.280
O 0.032 0.677 0.943
O 0.062 0.693 0.372
O 0.117 0.854 0.376
O 0.119 0.690 0.673
O 0.122 0.400 0.246
O 0.136 0.367 0.873
O 0.141 0.307 0.719
O 0.155 0.536 0.453
O 0.165 0.861 0.876
O 0.179 0.182 0.622
O 0.181 0.575 0.870
O 0.182 0.622 0.179
O 0.211 0.816 0.640
O 0.246 0.122 0.400
O 0.275 0.889 0.359
O 0.307 0.719 0.141
O 0.308 0.308 0.308
O 0.340 0.608 0.887
O 0.359 0.275 0.889
O 0.364 0.646 0.376
O 0.367 0.873 0.136
O 0.372 0.062 0.693
O 0.376 0.117 0.854
O 0.376 0.364 0.646
O 0.387 0.848 0.636
O 0.400 0.246 0.122
O 0.437 0.730 0.844
O 0.453 0.155 0.536
O 0.536 0.453 0.155
O 0.575 0.870 0.181
O 0.608 0.887 0.340
O 0.619 0.740 0.890
O 0.622 0.179 0.182
O 0.636 0.387 0.848
O 0.640 0.211 0.816
O 0.646 0.376 0.364
O 0.673 0.119 0.690
O 0.677 0.943 0.032
O 0.690 0.673 0.119
O 0.693 0.372 0.062
O 0.719 0.141 0.307
O 0.730 0.844 0.437
O 0.740 0.890 0.619
O 0.804 0.804 0.804
O 0.816 0.640 0.211
O 0.844 0.437 0.730
O 0.848 0.636 0.387
O 0.854 0.376 0.117
O 0.861 0.876 0.165
O 0.870 0.181 0.575
O 0.873 0.136 0.367
O 0.876 0.165 0.861
O 0.887 0.340 0.608
O 0.889 0.359 0.275
O 0.890 0.619 0.740
O 0.943 0.032 0.677

Values from the calculation:
SG ... R3, No. 146
Distance to the lowest polymorph of the same formula ... 7.28 eV/f.u.
Energy with MP2020 corrections ... -7.1065 eV per atom
Calculated formation energy ... -2.766 eV per atom

---

(3)
This record from the Materials Project describes a relaxed structure of Ca3P2O8. The functional is PBE.

a = 13.015 Å, b = 27.553 Å, c = 13.006 Å
α = 90.00°, β = 107.62°, γ = 90.00°
Positions (direct):
Ca 0.049 0.087 0.446
Ca 0.049 0.413 0.946
Ca 0.050 0.073 0.962
Ca 0.050 0.427 0.462
Ca 0.056 0.691 0.677
Ca 0.056 0.809 0.177
Ca 0.063 0.735 0.948
Ca 0.063 0.765 0.448
Ca 0.073 0.148 0.182
Ca 0.073 0.352 0.682
Ca 0.086 0.026 0.694
Ca 0.086 0.474 0.194
Ca 0.200 0.585 0.318
Ca 0.200 0.915 0.818
Ca 0.208 0.245 0.795
Ca 0.208 0.255 0.295
Ca 0.255 0.587 0.811
Ca 0.255 0.913 0.311
Ca 0.307 0.026 0.457
Ca 0.307 0.474 0.957
Ca 0.323 0.716 0.194
Ca 0.323 0.784 0.694
Ca 0.324 0.127 0.652
Ca 0.324 0.373 0.152
Ca 0.324 0.698 0.472
Ca 0.324 0.802 0.972
Ca 0.328 0.050 0.179
Ca 0.328 0.450 0.679
Ca 0.332 0.138 0.963
Ca 0.332 0.362 0.463
Ca 0.438 0.241 0.569
Ca 0.438 0.259 0.069
Ca 0.438 0.575 0.578
Ca 0.438 0.925 0.078
Ca 0.440 0.589 0.083
Ca 0.440 0.911 0.583
Ca 0.560 0.089 0.417
Ca 0.560 0.411 0.917
Ca 0.562 0.075 0.922
Ca 0.562 0.425 0.422
Ca 0.562 0.741 0.931
Ca 0.562 0.759 0.431
Ca 0.668 0.638 0.537
Ca 0.668 0.862 0.037
Ca 0.672 0.550 0.321
Ca 0.672 0.950 0.821
Ca 0.676 0.198 0.028
Ca 0.676 0.302 0.528
Ca 0.676 0.627 0.848
Ca 0.676 0.873 0.348
Ca 0.677 0.216 0.306
Ca 0.677 0.284 0.806
Ca 0.693 0.526 0.043
Ca 0.693 0.974 0.543
Ca 0.745 0.087 0.689
Ca 0.745 0.413 0.189
Ca 0.792 0.745 0.705
Ca 0.792 0.755 0.205
Ca 0.800 0.085 0.182
Ca 0.800 0.415 0.682
Ca 0.914 0.526 0.806
Ca 0.914 0.974 0.306
Ca 0.927 0.648 0.318
Ca 0.927 0.852 0.818
Ca 0.937 0.235 0.552
Ca 0.937 0.265 0.052
Ca 0.944 0.191 0.823
Ca 0.944 0.309 0.323
Ca 0.950 0.573 0.538
Ca 0.950 0.927 0.038
Ca 0.951 0.587 0.054
Ca 0.951 0.913 0.554
P 0.101 0.692 0.226
P 0.101 0.808 0.726
P 0.102 0.025 0.214
P 0.102 0.475 0.714
P 0.111 0.137 0.723
P 0.111 0.363 0.223
P 0.156 0.539 0.029
P 0.156 0.961 0.529
P 0.157 0.208 0.021
P 0.157 0.292 0.521
P 0.158 0.632 0.531
P 0.158 0.868 0.031
P 0.299 0.137 0.405
P 0.299 0.363 0.905
P 0.300 0.029 0.938
P 0.300 0.471 0.438
P 0.300 0.692 0.909
P 0.300 0.808 0.409
P 0.456 0.631 0.335
P 0.456 0.869 0.835
P 0.457 0.204 0.831
P 0.457 0.296 0.331
P 0.476 0.535 0.838
P 0.476 0.965 0.338
P 0.524 0.035 0.662
P 0.524 0.465 0.162
P 0.543 0.704 0.669
P 0.543 0.796 0.169
P 0.544 0.131 0.165
P 0.544 0.369 0.665
P 0.700 0.192 0.591
P 0.700 0.308 0.091
P 0.700 0.529 0.562
P 0.700 0.971 0.062
P 0.701 0.637 0.095
P 0.701 0.863 0.595
P 0.842 0.132 0.969
P 0.842 0.368 0.469
P 0.843 0.708 0.479
P 0.843 0.792 0.979
P 0.844 0.039 0.471
P 0.844 0.461 0.971
P 0.889 0.637 0.777
P 0.889 0.863 0.277
P 0.898 0.525 0.286
P 0.898 0.975 0.786
P 0.899 0.192 0.274
P 0.899 0.308 0.774
O 0.030 0.647 0.184
O 0.030 0.853 0.684
O 0.032 0.180 0.684
O 0.032 0.320 0.184
O 0.032 0.507 0.624
O 0.032 0.993 0.124
O 0.036 0.040 0.290
O 0.036 0.460 0.790
O 0.044 0.724 0.290
O 0.044 0.776 0.790
O 0.057 0.559 0.940
O 0.057 0.941 0.440
O 0.065 0.100 0.788
O 0.065 0.400 0.288
O 0.080 0.608 0.428
O 0.080 0.892 0.928
O 0.101 0.236 0.914
O 0.101 0.264 0.414
O 0.109 0.156 0.009
O 0.109 0.344 0.509
O 0.123 0.231 0.116
O 0.123 0.269 0.616
O 0.124 0.723 0.136
O 0.124 0.777 0.636
O 0.130 0.613 0.631
O 0.130 0.887 0.131
O 0.139 0.110 0.630
O 0.139 0.390 0.130
O 0.140 0.071 0.163
O 0.140 0.429 0.663
O 0.141 0.689 0.527
O 0.141 0.811 0.027
O 0.144 0.557 0.139
O 0.144 0.943 0.639
O 0.154 0.017 0.532
O 0.154 0.483 0.032
O 0.204 0.674 0.814
O 0.204 0.826 0.314
O 0.210 0.501 0.779
O 0.210 0.999 0.279
O 0.214 0.674 0.299
O 0.214 0.826 0.799
O 0.221 0.159 0.792
O 0.221 0.341 0.292
O 0.221 0.501 0.348
O 0.221 0.999 0.848
O 0.224 0.106 0.453
O 0.224 0.394 0.953
O 0.232 0.170 0.313
O 0.232 0.330 0.813
O 0.236 0.066 0.987
O 0.236 0.434 0.487
O 0.255 0.718 0.994
O 0.255 0.782 0.494
O 0.261 0.555 0.008
O 0.261 0.945 0.508
O 0.274 0.622 0.531
O 0.274 0.878 0.031
O 0.279 0.208 0.043
O 0.279 0.292 0.543
O 0.363 0.502 0.535
O 0.363 0.998 0.035
O 0.365 0.732 0.869
O 0.365 0.768 0.369
O 0.367 0.099 0.363
O 0.367 0.401 0.863
O 0.369 0.647 0.954
O 0.369 0.853 0.454
O 0.370 0.167 0.500
O 0.370 0.333 0.000
O 0.376 0.061 0.893
O 0.376 0.439 0.393
O 0.387 0.600 0.388
O 0.387 0.900 0.888
O 0.389 0.230 0.894
O 0.389 0.270 0.394
O 0.394 0.206 0.709
O 0.394 0.294 0.209
O 0.399 0.637 0.212
O 0.399 0.863 0.712
O 0.401 0.564 0.741
O 0.401 0.936 0.241
O 0.410 0.058 0.624
O 0.410 0.442 0.124
O 0.422 0.540 0.930
O 0.422 0.960 0.430
O 0.430 0.110 0.139
O 0.430 0.390 0.639
O 0.430 0.727 0.644
O 0.430 0.773 0.144
O 0.464 0.684 0.384
O 0.464 0.816 0.884
O 0.469 0.149 0.866
O 0.469 0.351 0.366
O 0.481 0.019 0.310
O 0.481 0.481 0.810
O 0.519 0.519 0.190
O 0.519 0.981 0.690
O 0.531 0.649 0.634
O 0.531 0.851 0.134
O 0.536 0.184 0.116
O 0.536 0.316 0.616
O 0.570 0.227 0.856
O 0.570 0.273 0.356
O 0.570 0.610 0.361
O 0.570 0.890 0.861
O 0.578 0.040 0.570
O 0.578 0.460 0.070
O 0.590 0.558 0.876
O 0.590 0.942 0.376
O 0.599 0.064 0.759
O 0.599 0.436 0.259
O 0.601 0.137 0.288
O 0.601 0.363 0.788
O 0.606 0.706 0.791
O 0.606 0.794 0.291
O 0.611 0.730 0.606
O 0.611 0.770 0.106
O 0.613 0.100 0.112
O 0.613 0.400 0.612
O 0.624 0.561 0.607
O 0.624 0.939 0.107
O 0.630 0.667 0.000
O 0.630 0.833 0.500
O 0.631 0.147 0.546
O 0.631 0.353 0.046
O 0.633 0.599 0.137
O 0.633 0.901 0.637
O 0.635 0.232 0.631
O 0.635 0.268 0.131
O 0.637 0.002 0.965
O 0.637 0.498 0.465
O 0.721 0.708 0.457
O 0.721 0.792 0.957
O 0.726 0.122 0.969
O 0.726 0.378 0.469
O 0.739 0.055 0.492
O 0.739 0.445 0.992
O 0.745 0.218 0.506
O 0.745 0.282 0.006
O 0.764 0.566 0.513
O 0.764 0.934 0.013
O 0.768 0.670 0.187
O 0.768 0.830 0.687
O 0.776 0.606 0.047
O 0.776 0.894 0.547
O 0.779 0.001 0.152
O 0.779 0.499 0.652
O 0.779 0.659 0.708
O 0.779 0.841 0.208
O 0.786 0.174 0.201
O 0.786 0.326 0.701
O 0.790 0.001 0.721
O 0.790 0.499 0.221
O 0.796 0.174 0.686
O 0.796 0.326 0.186
O 0.846 0.517 0.968
O 0.846 0.983 0.468
O 0.856 0.057 0.361
O 0.856 0.443 0.861
O 0.859 0.189 0.973
O 0.859 0.311 0.473
O 0.860 0.571 0.337
O 0.860 0.929 0.837
O 0.861 0.610 0.870
O 0.861 0.890 0.370
O 0.870 0.113 0.869
O 0.870 0.387 0.369
O 0.876 0.223 0.364
O 0.876 0.277 0.864
O 0.877 0.731 0.384
O 0.877 0.769 0.884
O 0.891 0.656 0.491
O 0.891 0.844 0.991
O 0.899 0.736 0.586
O 0.899 0.764 0.086
O 0.920 0.108 0.072
O 0.920 0.392 0.572
O 0.935 0.600 0.712
O 0.935 0.900 0.212
O 0.943 0.059 0.560
O 0.943 0.441 0.060
O 0.956 0.224 0.210
O 0.956 0.276 0.710
O 0.964 0.540 0.210
O 0.964 0.960 0.710
O 0.968 0.007 0.876
O 0.968 0.493 0.376
O 0.968 0.680 0.816
O 0.968 0.820 0.316
O 0.970 0.147 0.316
O 0.970 0.353 0.816

Values from the calculation:
SG ... P2_1/c, No. 14
Distance to the lowest polymorph of the same formula ... 0.00 eV/f.u.
Energy with MP2020 corrections ... -7.6665 eV per atom
Calculated formation energy ... -3.326 eV per atom